No. 1
# Li2CrNiO4, relaxed, DFT GGA+U
# - energy (eV for the cell shown) = -188.43
# - crystal system = monoclinic
# - volume (Å³ per atom) = 8.77
# - calculated density (Mg/m³) = 4.463
data_Li2CrNiO4
_chemical_formula_sum 'Li8 Cr4 Ni4 O16'
_cell_length_a 9.438
_cell_length_b 4.050
_cell_length_c 8.123
_cell_angle_alpha 90.00
_cell_angle_beta 115.35
_cell_angle_gamma 90.00
_symmetry_space_group_name_H-M 'C 1 m 1'
_symmetry_Int_Tables_number 8
_symmetry_space_group_name_Hall 'C -2y'
loop_
_atom_site_label
_atom_site_type_symbol
_atom_site_fract_x
_atom_site_fract_y
_atom_site_fract_z
Li1 Li 0.000 0.000 0.000
Li2 Li 0.001 0.000 0.501
Li3 Li 0.243 0.500 0.123
Li4 Li 0.254 0.500 0.626
Cr1 Cr 0.002 0.500 0.249
Cr2 Cr 0.496 0.000 0.749
Ni1 Ni 0.246 0.000 0.875
Ni2 Ni 0.254 0.000 0.377
O1 O 0.013 0.000 0.757
O2 O 0.028 0.000 0.264
O3 O 0.231 0.500 0.867
O4 O 0.236 0.500 0.369
O5 O 0.264 0.000 0.618
O6 O 0.268 0.000 0.148
O7 O 0.479 0.000 0.489
O8 O 0.482 0.000 0.992



No. 2
# BaSrCaMoO6, relaxed, DFT GGA+U
# - energy (eV for the cell shown) = -270.15
# - crystal system = cubic
# - volume (Å³ per atom) = 14.99
# - calculated density (Mg/m³) = 5.064
data_BaSrCaMoO6
_chemical_formula_sum 'Ba4 Sr4 Ca4 Mo4 O24'
_cell_length_a 8.432
_cell_length_b 8.432
_cell_length_c 8.432
_cell_angle_alpha 90.00
_cell_angle_beta 90.00
_cell_angle_gamma 90.00
_symmetry_space_group_name_H-M 'F -4 3 m'
_symmetry_Int_Tables_number 216
_symmetry_space_group_name_Hall 'F -4 2 3'
loop_
_atom_site_label
_atom_site_type_symbol
_atom_site_fract_x
_atom_site_fract_y
_atom_site_fract_z
Ba1 Ba 0.000 0.000 0.000
Sr1 Sr 0.000 0.000 0.500
Ca1 Ca 0.250 0.250 0.750
Mo1 Mo 0.250 0.250 0.250
O1 O 0.019 0.250 0.250



No. 3
# Na4Ni5P6O22, relaxed, DFT GGA+U
# - energy (eV for the cell shown) = -468.67
# - crystal system = monoclinic
# - volume (Å³ per atom) = 11.82
# - calculated density (Mg/m³) = 3.507
data_Na4Ni5P6O22
_chemical_formula_sum 'Na8 Ni10 P12 O44'
_cell_length_a 12.658
_cell_length_b 6.661
_cell_length_c 10.674
_cell_angle_alpha 90.00
_cell_angle_beta 103.69
_cell_angle_gamma 90.00
_symmetry_space_group_name_H-M 'P 1 21/c 1'
_symmetry_Int_Tables_number 14
_symmetry_space_group_name_Hall '-P 2ybc'
loop_
_atom_site_label
_atom_site_type_symbol
_atom_site_fract_x
_atom_site_fract_y
_atom_site_fract_z
Na1 Na 0.148 0.019 0.136
Na2 Na 0.341 0.590 0.456
Ni1 Ni 0.167 0.008 0.696
Ni2 Ni 0.367 0.240 0.718
Ni3 Ni 0.500 0.000 0.500
P1 P 0.083 0.702 0.909
P2 P 0.245 0.113 0.433
P3 P 0.415 0.736 0.726
O1 O 0.038 0.197 0.655
O2 O 0.109 0.702 0.057
O3 O 0.130 0.009 0.365
O4 O 0.143 0.628 0.360
O5 O 0.231 0.204 0.562
O6 O 0.258 0.225 0.835
O7 O 0.334 0.544 0.953
O8 O 0.340 0.582 0.234
O9 O 0.345 0.548 0.680
O10 O 0.494 0.729 0.134
O11 O 0.499 0.713 0.860



No. 4
# VOF, relaxed, DFT GGA+U
# - energy (eV for the cell shown) = -128.53
# - crystal system = trigonal
# - volume (Å³ per atom) = 12.34
# - calculated density (Mg/m³) = 3.856
data_VOF
_chemical_formula_sum 'V6 O6 F6'
_cell_length_a 3.3349
_cell_length_b 3.3349
_cell_length_c 23.0542
_cell_angle_alpha 90.00
_cell_angle_beta 90.00
_cell_angle_gamma 120.00
_symmetry_space_group_name_H-M 'R -3 m'
_symmetry_Int_Tables_number 166
_symmetry_space_group_name_Hall '-R 3 2"'
loop_
_atom_site_label
_atom_site_type_symbol
_atom_site_fract_x
_atom_site_fract_y
_atom_site_fract_z
V1 V 0.0000 0.0000 0.1083
O1 O 0.0000 0.0000 0.1996
F1 F 0.0000 0.0000 0.3943



No. 5
# LaMgFeCuO6, relaxed, DFT GGA+U
# - energy (eV for the cell shown) = -128.11
# - crystal system = monoclinic
# - volume (Å³ per atom) = 11.34
# - calculated density (Mg/m³) = 5.546
data_LaMgFeCuO6
_chemical_formula_sum 'La2 Mg2 Fe2 Cu2 O12'
_cell_length_a 5.220
_cell_length_b 5.392
_cell_length_c 9.414
_cell_angle_alpha 90.00
_cell_angle_beta 121.18
_cell_angle_gamma 90.00
_symmetry_space_group_name_H-M 'P 1 c 1'
_symmetry_Int_Tables_number 7
_symmetry_space_group_name_Hall 'P -2yc'
loop_
_atom_site_label
_atom_site_type_symbol
_atom_site_fract_x
_atom_site_fract_y
_atom_site_fract_z
La1 La 0.000 0.209 0.000
Mg1 Mg 0.439 0.307 0.490
Fe1 Fe 0.728 0.256 0.249
Cu1 Cu 0.244 0.247 0.750
O1 O 0.041 0.480 0.811
O2 O 0.099 0.045 0.303
O3 O 0.394 0.497 0.182
O4 O 0.460 0.049 0.677
O5 O 0.577 0.295 0.018
O6 O 0.810 0.232 0.469



No. 6
# Ba3Fe2BrO5, relaxed, DFT GGA+U
# - energy (eV for the cell shown) = -65.76
# - crystal system = tetragonal
# - volume (Å³ per atom) = 19.19
# - calculated density (Mg/m³) = 5.377
data_Ba3Fe2BrO5
_chemical_formula_sum 'Ba3 Fe2 Br1 O5'
_cell_length_a 4.151
_cell_length_b 4.151
_cell_length_c 12.251
_cell_angle_alpha 90.00
_cell_angle_beta 90.00
_cell_angle_gamma 90.00
_symmetry_space_group_name_H-M 'P 4/m m m'
_symmetry_Int_Tables_number 123
_symmetry_space_group_name_Hall '-P 4 2'
loop_
_atom_site_label
_atom_site_type_symbol
_atom_site_fract_x
_atom_site_fract_y
_atom_site_fract_z
Ba1 Ba 0.000 0.000 0.000
Ba2 Ba 0.000 0.000 0.315
Fe1 Fe 0.500 0.500 0.158
Br1 Br 0.500 0.500 0.500
O1 O 0.000 0.500 0.189
O2 O 0.500 0.500 0.000



No. 7
# Mg6CoBO8, relaxed, DFT GGA+U
# - excess energy over the best structure of this formula in the dataset (meV per atom) = 0
# - energy (eV for the cell shown) = -95.52
# - crystal system = tetragonal
# - volume (Å³ per atom) = 9.47
# - calculated density (Mg/m³) = 3.764
data_Mg6CoBO8
_chemical_formula_sum 'Mg6 Co1 B1 O8'
_cell_length_a 4.240
_cell_length_b 4.240
_cell_length_c 8.429
_cell_angle_alpha 90.00
_cell_angle_beta 90.00
_cell_angle_gamma 90.00
_symmetry_space_group_name_H-M 'P 4/m m m'
_symmetry_Int_Tables_number 123
_symmetry_space_group_name_Hall '-P 4 2'
loop_
_atom_site_label
_atom_site_type_symbol
_atom_site_fract_x
_atom_site_fract_y
_atom_site_fract_z
Mg1 Mg 0.000 0.000 0.000
Mg2 Mg 0.000 0.000 0.500
Mg3 Mg 0.000 0.500 0.241
Co1 Co 0.500 0.500 0.500
B1 B 0.500 0.500 0.000
O1 O 0.000 0.000 0.251
O2 O 0.000 0.500 0.000
O3 O 0.000 0.500 0.500
O4 O 0.500 0.500 0.169



No. 8
# CrFe2P3O12, relaxed, DFT GGA+U
# - energy (eV for the cell shown) = -781.75
# - crystal system = trigonal
# - volume (Å³ per atom) = 12.11
# - calculated density (Mg/m³) = 3.417
data_CrFe2P3O12
_chemical_formula_sum 'Cr6 Fe12 P18 O72'
_cell_length_a 8.6143
_cell_length_b 8.6143
_cell_length_c 20.3514
_cell_angle_alpha 90.00
_cell_angle_beta 90.00
_cell_angle_gamma 120.00
_symmetry_space_group_name_H-M 'R -3 c'
_symmetry_Int_Tables_number 167
_symmetry_space_group_name_Hall '-R 3 2"c'
loop_
_atom_site_label
_atom_site_type_symbol
_atom_site_fract_x
_atom_site_fract_y
_atom_site_fract_z
Cr1 Cr 0.0000 0.0000 0.0000
Fe1 Fe 0.0000 0.0000 0.1461
P1 P 0.0000 0.2984 0.2500
O1 O 0.0091 0.1760 0.9279
O2 O 0.0130 0.2062 0.3117



No. 9
# Li4V3FeO8, relaxed, DFT GGA+U
# - excess energy over the best structure of this formula in the dataset (meV per atom) = 0
# - energy (eV for the cell shown) = -322.16
# - crystal system = trigonal
# - volume (Å³ per atom) = 9.50
# - calculated density (Mg/m³) = 3.979
data_Li4V3FeO8
_chemical_formula_sum 'Li12 V9 Fe3 O24'
_cell_length_a 5.9917
_cell_length_b 5.9917
_cell_length_c 14.6740
_cell_angle_alpha 90.00
_cell_angle_beta 90.00
_cell_angle_gamma 120.00
_symmetry_space_group_name_H-M 'R -3 m'
_symmetry_Int_Tables_number 166
_symmetry_space_group_name_Hall '-R 3 2"'
loop_
_atom_site_label
_atom_site_type_symbol
_atom_site_fract_x
_atom_site_fract_y
_atom_site_fract_z
Li1 Li 0.0000 0.0000 0.0000
Li2 Li 0.0000 0.5000 0.0000
V1 V 0.0000 0.5000 0.5000
Fe1 Fe 0.0000 0.0000 0.5000
O1 O 0.0000 0.0000 0.2397
O2 O 0.0014 0.5007 0.2455



No. 10
# LiFe2F9, relaxed, DFT GGA+U
# - excess energy over the best structure of this formula in the dataset (meV per atom) = 0
# - energy (eV for the cell shown) = -108.89
# - crystal system = triclinic
# - volume (Å³ per atom) = 14.94
# - calculated density (Mg/m³) = 2.682
data_LiFe2F9
_chemical_formula_sum 'Li2 Fe4 F18'
_cell_length_a 5.036
_cell_length_b 8.284
_cell_length_c 9.697
_cell_angle_alpha 113.86
_cell_angle_beta 97.75
_cell_angle_gamma 97.69
_symmetry_space_group_name_H-M 'P -1'
_symmetry_Int_Tables_number 2
_symmetry_space_group_name_Hall '-P 1'
loop_
_atom_site_label
_atom_site_type_symbol
_atom_site_fract_x
_atom_site_fract_y
_atom_site_fract_z
Li1 Li 0.118 0.410 0.169
Fe1 Fe 0.254 0.237 0.785
Fe2 Fe 0.341 0.763 0.666
F1 F 0.003 0.685 0.557
F2 F 0.050 0.906 0.341
F3 F 0.145 0.429 0.770
F4 F 0.159 0.264 0.968
F5 F 0.221 0.785 0.837
F6 F 0.391 0.340 0.285
F7 F 0.399 0.638 0.149
F8 F 0.408 0.030 0.748
F9 F 0.470 0.757 0.504



No. 11
# Li3V2P3O12, relaxed, DFT GGA+U
# - excess energy over the best structure of this formula in the dataset (meV per atom) = 39
# - energy (eV for the cell shown) = -566.62
# - crystal system = monoclinic
# - volume (Å³ per atom) = 11.74
# - calculated density (Mg/m³) = 2.884
data_Li3V2P3O12
_chemical_formula_sum 'Li12 V8 P12 O48'
_cell_length_a 8.603
_cell_length_b 8.830
_cell_length_c 12.369
_cell_angle_alpha 90.00
_cell_angle_beta 91.96
_cell_angle_gamma 90.00
_symmetry_space_group_name_H-M 'P 1 2/c 1'
_symmetry_Int_Tables_number 13
_symmetry_space_group_name_Hall '-P 2yc'
loop_
_atom_site_label
_atom_site_type_symbol
_atom_site_fract_x
_atom_site_fract_y
_atom_site_fract_z
Li1 Li 0.000 0.000 0.000
Li2 Li 0.000 0.100 0.250
Li3 Li 0.203 0.304 0.550
Li4 Li 0.500 0.399 0.250
Li5 Li 0.500 0.500 0.000
V1 V 0.215 0.496 0.859
V2 V 0.287 0.000 0.145
P1 P 0.000 0.208 0.750
P2 P 0.147 0.353 0.104
P3 P 0.348 0.146 0.396
P4 P 0.500 0.297 0.750
O1 O 0.028 0.391 0.408
O2 O 0.075 0.100 0.665
O3 O 0.114 0.305 0.816
O4 O 0.151 0.177 0.093
O5 O 0.223 0.406 0.213
O6 O 0.244 0.437 0.018
O7 O 0.251 0.090 0.493
O8 O 0.256 0.094 0.293
O9 O 0.354 0.323 0.409
O10 O 0.375 0.203 0.689
O11 O 0.431 0.407 0.836
O12 O 0.484 0.094 0.104



No. 12
# Li4MnW3O12, relaxed, DFT GGA+U
# - excess energy over the best structure of this formula in the dataset (meV per atom) = 20
# - energy (eV for the cell shown) = -136.68
# - crystal system = triclinic
# - volume (Å³ per atom) = 11.02
# - calculated density (Mg/m³) = 6.226
data_Li4MnW3O12
_chemical_formula_sum 'Li4 Mn1 W3 O12'
_cell_length_a 5.210
_cell_length_b 5.541
_cell_length_c 7.658
_cell_angle_alpha 94.52
_cell_angle_beta 90.28
_cell_angle_gamma 90.12
_symmetry_space_group_name_H-M 'P 1'
_symmetry_Int_Tables_number 1
_symmetry_space_group_name_Hall 'P 1'
loop_
_atom_site_label
_atom_site_type_symbol
_atom_site_fract_x
_atom_site_fract_y
_atom_site_fract_z
Li1 Li 0.000 0.000 0.000
Li2 Li 0.008 0.080 0.411
Li3 Li 0.493 0.469 0.999
Li4 Li 0.508 0.468 0.447
Mn1 Mn 0.503 0.052 0.180
W1 W 0.003 0.549 0.695
W2 W 0.012 0.568 0.197
W3 W 0.500 0.039 0.681
O1 O 0.126 0.566 0.441
O2 O 0.182 0.276 0.116
O3 O 0.197 0.866 0.740
O4 O 0.292 0.743 0.107
O5 O 0.300 0.373 0.742
O6 O 0.385 0.095 0.454
O7 O 0.633 0.092 0.905
O8 O 0.696 0.757 0.616
O9 O 0.701 0.400 0.233
O10 O 0.806 0.271 0.612
O11 O 0.842 0.874 0.231
O12 O 0.875 0.576 0.920